No. 1
The following is a r2SCAN calculation of a geometry-optimized Gd2SiO5 structure, from the Materials Project database.

E_form (meV/atom): -3590.2
Crystal system: monoclinic
Calculated density (g/cm3): 6.8
Total DFT energy (no corrections) (Ry/atom): -1.416

abc: 9.1392 7.0465 6.7448
angles: 90.00 107.45 90.00
With the nearest neighbours (Å) after each atom.
Space group P2_1/c (No. 14)
Inequivalent atoms, fractional coordinates:
1 Gd 0.0258 0.1243 0.2342 [4 per cell]  7 O 2.29-2.55
2 Gd 0.3863 0.1465 0.0842 [4 per cell]  6 O 2.30-2.51
3 Si 0.2977 0.5871 0.0402 [4 per cell]  4 O 1.60-1.65
4 O 0.1150 0.6378 0.9925 [4 per cell]  1 Si 1.64
5 O 0.1168 0.1202 0.9485 [4 per cell]  4 Gd 2.29-2.36
6 O 0.2953 0.0689 0.3571 [4 per cell]  1 Si 1.65
7 O 0.3654 0.0423 0.7467 [4 per cell]  1 Si 1.62
8 O 0.4047 0.7312 0.5522 [4 per cell]  1 Si 1.60


No. 2
The following is a r2SCAN calculation of a geometry-optimized Gd2Sn2O7 structure, from the Materials Project database.

E_form (meV/atom): -2819.8
Crystal system: cubic
Calculated density (g/cm3): 7.6
Total DFT energy (no corrections) (Ry/atom): -1.397

abc: 10.4892 10.4892 10.4892
angles: 90.00 90.00 90.00
With the nearest neighbours (Å) after each atom.
Space group Fd-3m (No. 227, origin choice 2)
Inequivalent atoms, fractional coordinates:
1 Gd 0.0000 0.0000 0.0000 [16 per cell]  8 O 2.27-2.53
2 Sn 0.0000 0.0000 0.5000 [16 per cell]  6 O 2.06
3 O 0.0858 0.3750 0.8750 [48 per cell]  2 Sn 2.06
4 O 0.1250 0.1250 0.1250 [8 per cell]  4 Gd 2.27


No. 3
The following is a r2SCAN calculation of a geometry-optimized Gd3TaO7 structure, from the Materials Project database.

E_form (meV/atom): -3648.9
Crystal system: orthorhombic
Calculated density (g/cm3): 8.4
Total DFT energy (no corrections) (Ry/atom): -1.742

abc: 7.5760 10.6377 7.5323
angles: 90.00 90.00 90.00
With the nearest neighbours (Å) after each atom.
Space group C222_1 (No. 20)
Inequivalent atoms, fractional coordinates:
1 Gd 0.0297 0.0000 0.0000 [4 per cell]  6 O 2.34-2.42
2 Gd 0.2332 0.2677 0.7575 [8 per cell]  6 O 2.24-2.44
3 Ta 0.0017 0.5000 0.0000 [4 per cell]  6 O 1.94-2.03
4 O 0.0000 0.1289 0.2500 [4 per cell]  4 Gd 2.30-2.34
5 O 0.0000 0.1382 0.7500 [4 per cell]  4 Gd 2.24-2.40
6 O 0.0000 0.4369 0.7500 [4 per cell]  2 Ta 2.00
7 O 0.1802 0.3728 0.0402 [8 per cell]  1 Ta 1.94
8 O 0.2025 0.3781 0.4755 [8 per cell]  1 Ta 2.03


No. 4
The following is a r2SCAN calculation of a geometry-optimized Gd3TaO7 structure, from the Materials Project database.

E_form (meV/atom): -3648.4
Crystal system: triclinic
Calculated density (g/cm3): 8.4
Total DFT energy (no corrections) (Ry/atom): -1.742

abc: 6.4229 6.5236 7.6233
angles: 73.15 89.84 82.54
With the nearest neighbours (Å) after each atom.
Space group P-1 (No. 2)
Inequivalent atoms, fractional coordinates:
1 Gd 0.0451 0.0067 0.2495 [2 per cell]  7 O 2.22-2.44
2 Gd 0.2386 0.5352 0.6170 [2 per cell]  7 O 2.32-2.48
3 Gd 0.2392 0.5390 0.1111 [2 per cell]  5 O 2.24-2.44
4 Ta 0.5000 0.0000 0.0000 [1 per cell]  6 O 1.97-2.04
5 Ta 0.5000 0.0000 0.5000 [1 per cell]  6 O 1.98-2.01
6 O 0.0427 0.6376 0.8415 [2 per cell]  4 Gd 2.22-2.32
7 O 0.0575 0.6500 0.3355 [2 per cell]  4 Gd 2.22-2.36
8 O 0.2111 0.9310 0.5495 [2 per cell]  1 Ta 1.98
9 O 0.2120 0.9316 0.9841 [2 per cell]  1 Ta 1.97
10 O 0.4196 0.0351 0.2406 [2 per cell]  2 Ta 1.97-1.99
11 O 0.4210 0.3211 0.4428 [2 per cell]  1 Ta 2.01
12 O 0.4231 0.3265 0.8984 [2 per cell]  1 Ta 2.04


No. 5
The following is a r2SCAN calculation of a geometry-optimized GdTaO4 structure, from the Materials Project database.

E_form (meV/atom): -3515.3
Crystal system: monoclinic
Calculated density (g/cm3): 8.8
Total DFT energy (no corrections) (Ry/atom): -1.678

abc: 7.0546 11.0751 5.0884
angles: 90.00 130.25 90.00
With the nearest neighbours (Å) after each atom.
Space group C2/c (No. 15)
Inequivalent atoms, fractional coordinates:
1 Gd 0.0000 0.1321 0.2500 [4 per cell]  8 O 2.33-2.50
2 Ta 0.0000 0.3997 0.7500 [4 per cell]  4 O 1.87-1.95
3 O 0.1550 0.2911 0.6610 [8 per cell]  1 Ta 1.87
4 O 0.2389 0.4686 0.2094 [8 per cell]  1 Ta 1.95


No. 6
The following is a r2SCAN calculation of a geometry-optimized GdTaO4 structure, from the Materials Project database.

E_form (meV/atom): -3521.0
Crystal system: monoclinic
Calculated density (g/cm3): 8.8
Total DFT energy (no corrections) (Ry/atom): -1.678

abc: 5.1714 5.5114 5.3627
angles: 90.00 96.64 90.00
With the nearest neighbours (Å) after each atom.
Space group P2/c (No. 13)
Inequivalent atoms, fractional coordinates:
1 Gd 0.0000 0.2345 0.2500 [2 per cell]  8 O 2.32-2.55
2 Ta 0.5000 0.3080 0.7500 [2 per cell]  4 O 1.87-1.99
3 O 0.2535 0.0861 0.6031 [4 per cell]  1 Ta 1.87
4 O 0.2707 0.4377 0.9914 [4 per cell]  2 Ta 1.99-2.22


No. 7
The following is a r2SCAN calculation of a geometry-optimized Gd2TeO2 structure, from the Materials Project database.

E_form (meV/atom): -3201.0
Crystal system: tetragonal
Calculated density (g/cm3): 7.9
Total DFT energy (no corrections) (Ry/atom): -2.060

abc: 3.9672 3.9672 12.6026
angles: 90.00 90.00 90.00
With the nearest neighbours (Å) after each atom.
Space group I4/mmm (No. 139)
Inequivalent atoms, fractional coordinates:
1 Gd 0.0000 0.0000 0.1610 [4 per cell]  4 O 2.28
2 Te 0.0000 0.0000 0.5000 [2 per cell]  8 Gd 3.46, 8 O 3.72
3 O 0.0000 0.5000 0.2500 [4 per cell]  4 Gd 2.28


No. 8
The following is a r2SCAN calculation of a geometry-optimized Gd2TeO6 structure, from the Materials Project database.

E_form (meV/atom): -2760.0
Crystal system: orthorhombic
Calculated density (g/cm3): 7.3
Total DFT energy (no corrections) (Ry/atom): -1.412

abc: 5.3314 9.1756 10.0423
angles: 90.00 90.00 90.00
With the nearest neighbours (Å) after each atom.
Space group P2_12_12_1 (No. 19)
Inequivalent atoms, fractional coordinates:
1 Gd 0.0221 0.1041 0.0387 [4 per cell]  6 O 2.27-2.47
2 Gd 0.0362 0.2173 0.6360 [4 per cell]  7 O 2.30-2.52
3 Te 0.0397 0.4953 0.1466 [4 per cell]  6 O 1.90-1.96
4 O 0.0797 0.8476 0.4727 [4 per cell]  1 Te 1.92
5 O 0.1667 0.9475 0.2058 [4 per cell]  1 Te 1.90
6 O 0.1840 0.6390 0.2599 [4 per cell]  1 Te 1.90
7 O 0.1868 0.6388 0.6784 [4 per cell]  1 Te 1.94
8 O 0.2274 0.1130 0.4309 [4 per cell]  1 Te 1.95
9 O 0.2440 0.5852 0.0073 [4 per cell]  1 Te 1.96


No. 9
The following is a r2SCAN calculation of a geometry-optimized Gd3Y13O24 structure, from the Materials Project database.

E_form (meV/atom): -3873.2
Crystal system: monoclinic
Calculated density (g/cm3): 5.5
Total DFT energy (no corrections) (Ry/atom): -1.273

abc: 15.0423 10.6459 10.6404
angles: 90.00 134.95 90.00
With the nearest neighbours (Å) after each atom.
Space group C2 (No. 5)
Inequivalent atoms, fractional coordinates:
1 Gd 0.0000 0.0000 0.0000 [2 per cell]  6 O 2.28-2.38
2 Gd 0.2178 0.5316 0.9680 [4 per cell]  6 O 2.28-2.36
3 Y 0.0000 0.0643 0.5000 [2 per cell]  6 O 2.25-2.34
4 Y 0.0000 0.4985 0.0000 [2 per cell]  6 O 2.25-2.33
5 Y 0.0000 0.5646 0.5000 [2 per cell]  6 O 2.25-2.33
6 Y 0.0014 0.2825 0.2525 [4 per cell]  6 O 2.28-2.29
7 Y 0.0012 0.7811 0.2511 [4 per cell]  6 O 2.28-2.30
8 Y 0.2180 0.0320 0.4686 [4 per cell]  6 O 2.25-2.34
9 Y 0.2495 0.7823 0.7162 [4 per cell]  6 O 2.25-2.34
10 Y 0.2497 0.2812 0.7814 [4 per cell]  6 O 2.24-2.34
11 O 0.0977 0.4111 0.7053 [4 per cell]  3 Y 2.25-2.29, 1 Gd 2.36
12 O 0.0976 0.6523 0.9899 [4 per cell]  3 Y 2.25-2.30, 1 Gd 2.36
13 O 0.0982 0.9119 0.4888 [4 per cell]  4 Y 2.25-2.34
14 O 0.1000 0.1534 0.2111 [4 per cell]  3 Y 2.27-2.34, 1 Gd 2.28
15 O 0.1282 0.1425 0.7789 [4 per cell]  3 Y 2.27-2.34, 1 Gd 2.28
16 O 0.1293 0.9190 0.9774 [4 per cell]  2 Gd 2.28-2.29, 2 Y 2.28-2.33
17 O 0.1301 0.4231 0.2818 [4 per cell]  4 Y 2.25-2.34
18 O 0.1299 0.6408 0.4782 [4 per cell]  4 Y 2.25-2.34
19 O 0.1388 0.3778 0.0198 [4 per cell]  3 Y 2.25-2.33, 1 Gd 2.31
20 O 0.1391 0.6851 0.7579 [4 per cell]  3 Y 2.25-2.33, 1 Gd 2.31
21 O 0.1410 0.1828 0.5213 [4 per cell]  4 Y 2.24-2.34
22 O 0.1431 0.8796 0.2647 [4 per cell]  3 Y 2.25-2.29, 1 Gd 2.38


No. 10
The following is a r2SCAN calculation of a geometry-optimized Gd3Y13O24 structure, from the Materials Project database.

E_form (meV/atom): -3873.8
Crystal system: triclinic
Calculated density (g/cm3): 5.5
Total DFT energy (no corrections) (Ry/atom): -1.273

abc: 9.2080 9.2226 9.2226
angles: 109.50 109.44 109.44
With the nearest neighbours (Å) after each atom.
Space group P1 (No. 1)
Inequivalent atoms, fractional coordinates:
1 Gd 0.0000 0.0000 0.0000 [1 per cell]  6 O 2.28-2.37
2 Gd 0.0319 0.2175 0.7484 [1 per cell]  6 O 2.27-2.37
3 Gd 0.8128 0.5309 0.7808 [1 per cell]  6 O 2.27-2.37
4 Y 0.0321 0.7166 0.2500 [1 per cell]  6 O 2.25-2.34
5 Y 0.0652 0.5006 0.5634 [1 per cell]  6 O 2.24-2.33
6 Y 0.2505 0.4686 0.2830 [1 per cell]  6 O 2.25-2.34
7 Y 0.2818 0.2494 0.5307 [1 per cell]  6 O 2.28-2.30
8 Y 0.2830 0.7503 0.0318 [1 per cell]  6 O 2.28-2.30
9 Y 0.3153 0.0321 0.7805 [1 per cell]  6 O 2.25-2.34
10 Y 0.4979 0.9981 0.4974 [1 per cell]  6 O 2.25-2.34
11 Y 0.5308 0.7825 0.8135 [1 per cell]  6 O 2.25-2.33
12 Y 0.5320 0.2817 0.3129 [1 per cell]  6 O 2.25-2.34
13 Y 0.5642 0.4997 0.0642 [1 per cell]  6 O 2.25-2.34
14 Y 0.7483 0.9663 0.2804 [1 per cell]  6 O 2.25-2.34
15 Y 0.7812 0.2499 0.0328 [1 per cell]  6 O 2.28-2.30
16 Y 0.7809 0.7485 0.5293 [1 per cell]  6 O 2.28-2.29
17 O 0.0104 0.2180 0.4855 [1 per cell]  3 Y 2.26-2.29, 1 Gd 2.37
18 O 0.0108 0.4891 0.3026 [1 per cell]  4 Y 2.24-2.34
19 O 0.0215 0.2637 0.0030 [1 per cell]  2 Y 2.27-2.29, 2 Gd 2.28-2.36
20 O 0.0462 0.4826 0.8027 [1 per cell]  2 Gd 2.27-2.29, 2 Y 2.28-2.33
21 O 0.0524 0.9752 0.7676 [1 per cell]  2 Y 2.25-2.29, 2 Gd 2.30-2.36
22 O 0.0557 0.7917 0.0456 [1 per cell]  2 Y 2.26-2.29, 2 Gd 2.28-2.37
23 O 0.2389 0.9784 0.4992 [1 per cell]  4 Y 2.25-2.34
24 O 0.2534 0.2109 0.2636 [1 per cell]  3 Y 2.26-2.33, 1 Gd 2.28
25 O 0.2719 0.7822 0.7925 [1 per cell]  4 Y 2.25-2.33
26 O 0.2929 0.7177 0.2703 [1 per cell]  4 Y 2.25-2.34
27 O 0.3164 0.2919 0.8010 [1 per cell]  3 Y 2.25-2.34, 1 Gd 2.30
28 O 0.3243 0.5206 0.5636 [1 per cell]  4 Y 2.25-2.33
29 O 0.5101 0.7068 0.0202 [1 per cell]  4 Y 2.25-2.34
30 O 0.5110 0.5211 0.2916 [1 per cell]  4 Y 2.25-2.34
31 O 0.5206 0.0200 0.2590 [1 per cell]  4 Y 2.25-2.34
32 O 0.5415 0.2382 0.0624 [1 per cell]  4 Y 2.25-2.34
33 O 0.5498 0.2775 0.5704 [1 per cell]  3 Y 2.26-2.34, 1 Gd 2.27
34 O 0.5540 0.0114 0.7604 [1 per cell]  4 Y 2.26-2.33
35 O 0.7366 0.7385 0.7565 [1 per cell]  2 Y 2.25-2.29, 2 Gd 2.30-2.37
36 O 0.7474 0.9855 0.5388 [1 per cell]  3 Y 2.25-2.33, 1 Gd 2.31
37 O 0.7709 0.4773 0.9919 [1 per cell]  3 Y 2.26-2.34, 1 Gd 2.28
38 O 0.7889 0.0210 0.0729 [1 per cell]  3 Y 2.25-2.33, 1 Gd 2.30
39 O 0.8127 0.5095 0.5170 [1 per cell]  3 Y 2.25-2.29, 1 Gd 2.37
40 O 0.8239 0.7604 0.3024 [1 per cell]  4 Y 2.25-2.34


No. 11
The following is a r2SCAN calculation of a geometry-optimized GdOs2 structure, from the Materials Project database.

E_form (meV/atom): -282.9
Crystal system: hexagonal
Calculated density (g/cm3): 16.4
Total DFT energy (no corrections) (Ry/atom): -3.680

abc: 5.2966 5.2966 8.9723
angles: 90.00 90.00 120.00
With the nearest neighbours (Å) after each atom.
Space group P6_3/mmc (No. 194)
Inequivalent atoms, fractional coordinates:
1 Gd 0.3333 0.6667 0.0660 [4 per cell]  12 Os 3.11-3.20, 4 Gd 3.28-3.30
2 Os 0.0000 0.0000 0.0000 [2 per cell]  6 Os 2.73
3 Os 0.1705 0.3411 0.7500 [6 per cell]  6 Os 2.59-2.73


No. 12
The following is a r2SCAN calculation of a geometry-optimized GdP structure, from the Materials Project database.

E_form (meV/atom): -1773.0
Crystal system: cubic
Calculated density (g/cm3): 6.6
Total DFT energy (no corrections) (Ry/atom): -2.056

abc: 5.7399 5.7399 5.7399
angles: 90.00 90.00 90.00
With the nearest neighbours (Å) after each atom.
Space group Fm-3m (No. 225)
Inequivalent atoms, fractional coordinates:
1 Gd 0.0000 0.0000 0.0000 [4 per cell]  6 P 2.87
2 P 0.0000 0.0000 0.5000 [4 per cell]  6 Gd 2.87


Q: Look up the total DFT energy (no corrections) of the ninth one.
A: -1.273 Ry/atom